Crystalline La6OsI10 at its relaxed geometry. Source: the Materials Project database, functional GGA-PBE.

abc: 8.1905 10.1371 10.1652
angles: 107.69 97.23 105.48
With the nearest neighbours (Å) after each atom.
Space group P-1 (No. 2)
Symmetry-distinct sites (fractional):
1 La 0.0317 0.2168 0.4158 x2  1 Os 2.83
2 La 0.1172 0.5432 0.2634 x2  1 Os 2.81
3 La 0.3628 0.6354 0.6793 x2  1 Os 3.00, 2 I 3.15-3.24
4 Os 0.0000 0.5000 0.5000 x1  6 La 2.81-3.00
5 I 0.0859 0.8702 0.3194 x2  3 La 3.25-3.51
6 I 0.2068 0.2379 0.1482 x2  3 La 3.27-3.44
7 I 0.2590 0.5855 0.9614 x2  3 La 3.24-3.52
8 I 0.3560 0.9592 0.7719 x2  2 La 3.15-3.21
9 I 0.4540 0.3190 0.5879 x2  4 La 3.36-3.40

Calculated values
**Mass density**: 5042 kg/m3
**Crystal system**: triclinic
**Total energy**: -78.88 eV/cell